DFT (GGA-PBE) results for crystalline SrAgO2 at its relaxed geometry.

Summary:
The space group is C2/m. The calculation puts the energy of formation at -1.83 eV per atom.

Geometry as POSCAR:
```
SrAgO2
1.0
-4.001 2.422 3.835
3.545 -3.569 3.358
2.257 2.792 0.641
O Ag Sr
4 2 2
Cartesian
1.671 1.922 2.300
2.554 -0.489 3.812
0.131 -0.276 5.533
-0.752 2.135 4.021
0.901 0.823 3.917
1.129 1.396 0.320
1.773 -1.784 1.679
-2.001 1.211 1.917
```